1.
A plane-wave DFT calculation with meta-GGA r2SCAN was carried out for a relaxed structure of CsHgCl3.

## Properties
- electronic total energy (eV/atom) = -19.932
- formation energy (eV/atom) = -1.3455

CIF file:
```
data_CsHgCl3
_symmetry_space_group_name_H-M 'P 32'
_symmetry_Int_Tables_number 145
_symmetry_space_group_name_Hall 'P 32'
_cell_length_a 13.3872
_cell_length_b 13.3872
_cell_length_c 9.4697
_cell_angle_alpha 90.00
_cell_angle_beta 90.00
_cell_angle_gamma 120.00
loop_
_atom_site_label
_atom_site_type_symbol
_atom_site_fract_x
_atom_site_fract_y
_atom_site_fract_z
Cs1 Cs 0.2134 0.7675 0.0000
Cs2 Cs 0.2279 0.1107 0.3143
Cs3 Cs 0.5486 0.4472 0.9734
Hg1 Hg 0.2206 0.4421 0.1490
Hg2 Hg 0.2243 0.1119 0.8162
Hg3 Hg 0.5537 0.4411 0.4863
Cl1 Cl 0.0179 0.9292 0.9965
Cl2 Cl 0.0294 0.5797 0.6575
Cl3 Cl 0.0485 0.4462 0.9999
Cl4 Cl 0.0557 0.7723 0.3109
Cl5 Cl 0.0993 0.3079 0.3272
Cl6 Cl 0.2328 0.6249 0.3659
Cl7 Cl 0.3463 0.0807 0.9748
Cl8 Cl 0.3958 0.2555 0.6363
Cl9 Cl 0.5577 0.2759 0.2568
```

=====

2.
A plane-wave DFT calculation with meta-GGA r2SCAN was carried out for a relaxed structure of RhO2.

## Properties
- electronic total energy (eV/atom) = -13.000
- formation energy (eV/atom) = -0.9727

CIF file:
```
data_RhO2
_symmetry_space_group_name_H-M 'P 42/m n m'
_symmetry_Int_Tables_number 136
_symmetry_space_group_name_Hall '-P 4n 2n'
_cell_length_a 4.487
_cell_length_b 4.487
_cell_length_c 3.090
_cell_angle_alpha 90.00
_cell_angle_beta 90.00
_cell_angle_gamma 90.00
loop_
_atom_site_label
_atom_site_type_symbol
_atom_site_fract_x
_atom_site_fract_y
_atom_site_fract_z
Rh1 Rh 0.000 0.000 0.000
O1 O 0.193 0.193 0.500
```